[1]
First-principles (PBE) data for an optimized crystal structure of NaLiMg14O15, as listed in the Materials Project.

## Properties
- Space-group type: No. 25
- Formation enthalpy at 0 K: -2812 meV per atom
- V: 10.161 A^3/atom
- ρ: 3.22 g/cm3
- Energy above the most stable polymorph in this dataset: 1.1 kJ per mole of atoms

Cell: 8.5465 8.6310 4.2700 Å, 90.00 90.00 90.00°
Closest atoms and distances in Å follow each position.
Fractional coordinates of all 31 atoms:
O 0.4969 0.0000 0.5000  6 Mg 2.14-2.24
Mg 0.5029 0.0000 0.0000  4 O 2.02-2.14
Mg 0.7619 0.2463 0.0000  5 O 2.09-2.20
Li 0.9951 0.0000 0.0000  6 O 2.10-2.30
O 0.7484 0.7468 0.5000  6 Mg 2.13-2.19
O 0.2504 0.2586 0.5000  6 Mg 2.08-2.23
Mg 0.2408 0.2229 0.0000  5 O 1.93-2.16
Mg 0.2408 0.7771 0.0000  5 O 1.93-2.16
O 0.0136 0.5000 0.5000  2 Mg 1.97-2.13, 2 Na 2.14
O 0.4863 0.7388 0.0000  5 Mg 2.08-2.26
O 0.7387 0.0000 0.0000  5 Mg 2.02-2.14, 1 Li 2.19
Mg 0.0011 0.7562 0.5000  6 O 2.10-2.21
Mg 0.7619 0.7537 0.0000  5 O 2.09-2.20
Mg 0.0011 0.2438 0.5000  6 O 2.10-2.21
O 0.0028 0.0000 0.5000  4 Mg 2.05-2.10, 2 Li 2.14
Mg 0.2440 0.5000 0.5000  4 O 1.97-2.08
O 0.7484 0.2532 0.5000  6 Mg 2.13-2.19
O 0.2504 0.7414 0.5000  6 Mg 2.08-2.23
Mg 0.2427 0.0000 0.5000  6 O 2.05-2.23
Mg 0.7592 0.0000 0.5000  6 O 2.08-2.24
O 0.4821 0.5000 0.5000  5 Mg 2.04-2.16
O 0.4863 0.2612 0.0000  5 Mg 2.08-2.26
O 0.2637 0.0000 0.0000  5 Mg 1.93-2.14
Mg 0.5182 0.5000 0.0000  3 O 1.91-2.08
O 0.0066 0.7567 0.0000  4 Mg 2.01-2.14, 1 Li 2.10, 1 Na 2.22
Mg 0.7640 0.5000 0.5000  5 O 2.13-2.14
Mg 0.4992 0.2501 0.5000  6 O 2.13-2.16
O 0.0066 0.2433 0.0000  4 Mg 2.01-2.14, 1 Li 2.10, 1 Na 2.22
Na 0.9946 0.5000 0.0000  5 O 2.14-2.22
Mg 0.4992 0.7499 0.5000  6 O 2.13-2.16
O 0.7420 0.5000 0.0000  1 Mg 1.91


[2]
First-principles (PBE) data for an optimized crystal structure of NaLiMg14O15, as listed in the Materials Project.

## Properties
- Space-group type: No. 25
- Formation enthalpy at 0 K: -2823 meV per atom
- V: 10.133 A^3/atom
- ρ: 3.23 g/cm3
- Energy above the most stable polymorph in this dataset: 0.0 kJ per mole of atoms

Cell: 8.4922 8.6673 4.2678 Å, 90.00 90.00 90.00°
Closest atoms and distances in Å follow each position.
Fractional coordinates of all 31 atoms:
Mg 0.2490 0.7768 0.0000  5 O 1.93-2.16
Mg 0.2515 0.5000 0.5000  4 O 1.98-2.09
O 0.2500 0.2589 0.5000  6 Mg 2.09-2.24
O 0.0127 0.7320 0.0000  5 Mg 2.03-2.25
Mg 0.7492 0.7530 0.0000  6 O 2.13-2.25
Mg 0.0007 0.2443 0.5000  6 O 2.12-2.22
Na 0.5048 0.5000 0.0000  5 O 2.14-2.26
O 0.0127 0.2680 0.0000  5 Mg 2.03-2.25
Mg 0.9827 0.5000 0.0000  3 O 1.92-2.03
Mg 0.0007 0.7557 0.5000  6 O 2.12-2.22
O 0.7509 0.7467 0.5000  6 Mg 2.12-2.20
O 0.0144 0.5000 0.5000  5 Mg 2.01-2.22
O 0.4931 0.7602 0.0000  5 Mg 2.08-2.18, 1 Na 2.26
Li 0.9962 0.0000 0.0000  6 O 2.11-2.33
Mg 0.2455 0.0000 0.5000  6 O 2.06-2.24
Mg 0.4992 0.2502 0.5000  6 O 2.12-2.17
O 0.4931 0.2398 0.0000  5 Mg 2.08-2.18, 1 Na 2.26
Mg 0.2490 0.2232 0.0000  5 O 1.93-2.16
O 0.2529 0.0000 0.0000  5 Mg 1.93-2.13
O 0.7509 0.2533 0.5000  6 Mg 2.12-2.20
O 0.2500 0.7411 0.5000  6 Mg 2.09-2.24
O 0.7481 0.0000 0.0000  5 Mg 2.07-2.14, 1 Li 2.11
Mg 0.5038 0.0000 0.0000  6 O 2.07-2.13
O 0.0028 0.0000 0.5000  4 Mg 2.06-2.12, 2 Li 2.13
O 0.7568 0.5000 0.0000  3 Mg 1.92-2.14, 1 Na 2.14
Mg 0.7492 0.2470 0.0000  6 O 2.13-2.25
O 0.4972 0.0000 0.5000  6 Mg 2.13-2.20
Mg 0.7563 0.0000 0.5000  6 O 2.09-2.20
Mg 0.7424 0.5000 0.5000  6 O 2.14-2.31
O 0.4845 0.5000 0.5000  4 Mg 1.98-2.19, 2 Na 2.14
Mg 0.4992 0.7498 0.5000  6 O 2.12-2.17


[3]
First-principles (PBE) data for an optimized crystal structure of NaLiMg6O7, as listed in the Materials Project.

## Properties
- Space-group type: No. 99
- Formation enthalpy at 0 K: -2458 meV per atom
- V: 10.561 A^3/atom
- ρ: 3.02 g/cm3
- Energy above the most stable polymorph in this dataset: 10.7 kJ per mole of atoms

Cell: 8.6681 4.2751 4.2751 Å, 90.00 90.00 90.00°
Closest atoms and distances in Å follow each position.
Fractional coordinates of all 15 atoms:
Mg 0.5167 0.5000 0.5000  5 O 2.02-2.16
O 0.4790 0.5000 0.0000  3 Mg 2.02-2.16, 2 Na 2.15
Mg 0.7592 0.5000 0.0000  5 O 2.14-2.20
O 0.4790 0.0000 0.5000  3 Mg 2.02-2.16, 2 Na 2.15
Li 0.0038 0.0000 0.0000  6 O 2.03-2.14
Na 0.5013 0.0000 0.0000  6 O 2.15-2.28
O 0.7620 0.0000 0.0000  1 Li 2.10, 4 Mg 2.14, 1 Na 2.26
Mg 0.9828 0.5000 0.5000  5 O 2.02-2.15
Mg 0.2463 0.0000 0.5000  4 O 2.02-2.14
O 0.0130 0.5000 0.0000  4 Mg 2.02-2.20, 2 Li 2.14
Mg 0.7592 0.0000 0.5000  5 O 2.14-2.20
O 0.2379 0.0000 0.0000  1 Li 2.03, 4 Mg 2.14
O 0.0130 0.0000 0.5000  4 Mg 2.02-2.20, 2 Li 2.14
Mg 0.2463 0.5000 0.0000  4 O 2.02-2.14
O 0.7503 0.5000 0.5000  6 Mg 2.02-2.14


[4]
First-principles (PBE) data for an optimized crystal structure of NaLiMg6O7, as listed in the Materials Project.

## Properties
- Space-group type: No. 99
- Formation enthalpy at 0 K: -2506 meV per atom
- V: 10.696 A^3/atom
- ρ: 2.98 g/cm3
- Energy above the most stable polymorph in this dataset: 6.0 kJ per mole of atoms

Cell: 8.6537 4.3059 4.3059 Å, 90.00 90.00 90.00°
Closest atoms and distances in Å follow each position.
Fractional coordinates of all 15 atoms:
O 0.7498 0.0000 0.0000  5 Mg 1.96-2.17, 1 Li 2.01
Mg 0.5229 0.0000 0.0000  5 O 1.96-2.19
O 0.0129 0.5000 0.0000  2 Mg 1.93-2.04, 2 Na 2.16
Mg 0.2354 0.0000 0.5000  2 O 1.93-2.08
Mg 0.2354 0.5000 0.0000  2 O 1.93-2.08
Mg 0.4970 0.5000 0.5000  6 O 2.04-2.16
O 0.7325 0.5000 0.5000  5 Mg 2.04-2.19
Li 0.9820 0.0000 0.0000  5 O 2.01-2.17
O 0.4753 0.5000 0.0000  5 Mg 2.08-2.19
O 0.4753 0.0000 0.5000  5 Mg 2.08-2.19
O 0.2617 0.5000 0.5000  5 Mg 2.04-2.16, 1 Na 2.25
Na 0.0014 0.5000 0.5000  6 O 2.16-2.33
Mg 0.7776 0.0000 0.5000  5 O 2.04-2.19
Mg 0.7776 0.5000 0.0000  5 O 2.04-2.19
O 0.0129 0.0000 0.5000  2 Mg 1.93-2.04, 2 Na 2.16


[5]
First-principles (PBE) data for an optimized crystal structure of NaLiMg6O7, as listed in the Materials Project.

## Properties
- Space-group type: No. 99
- Formation enthalpy at 0 K: -2504 meV per atom
- V: 10.738 A^3/atom
- ρ: 2.97 g/cm3
- Energy above the most stable polymorph in this dataset: 6.3 kJ per mole of atoms

Cell: 8.7002 4.3026 4.3026 Å, 90.00 90.00 90.00°
Closest atoms and distances in Å follow each position.
Fractional coordinates of all 15 atoms:
O 0.7362 0.0000 0.0000  5 Mg 2.09-2.18
O 0.0148 0.0000 0.5000  2 Mg 1.92-2.05
Mg 0.4957 0.0000 0.0000  6 O 2.09-2.16
Mg 0.7791 0.5000 0.0000  5 O 2.05-2.18
Li 0.0126 0.0000 0.0000  5 O 2.11-2.15
O 0.2546 0.0000 0.0000  5 Mg 2.10-2.16, 1 Li 2.11
Mg 0.5185 0.5000 0.5000  1 O 1.93
Na 0.9929 0.5000 0.5000  5 O 2.16-2.20
O 0.0148 0.5000 0.0000  2 Mg 1.92-2.05
O 0.4708 0.5000 0.0000  5 Mg 2.05-2.19
O 0.7399 0.5000 0.5000  1 Mg 1.93
O 0.4708 0.0000 0.5000  5 Mg 2.05-2.19
Mg 0.2350 0.5000 0.0000  2 O 1.92-2.05
Mg 0.7791 0.0000 0.5000  5 O 2.05-2.18
Mg 0.2350 0.0000 0.5000  2 O 1.92-2.05